# 1
GdCo2B2 | meta-GGA r2SCAN | relaxed

As for the space group: I4/mmm (139). Its total magnetic moment is 7.084 μB/f.u. The calculation puts the volume at 60.0 Å³ per cell. The formation energy is -489 meV/atom.

Lattice parameters (Å, degrees): 5.3973 5.3973 5.3973 141.68 141.68 55.31
Closest atoms and distances in Å follow each position.
Element x y z (fractional)
Gd 0.0000 0.0000 0.0000  10 B 2.92-3.27, 8 Co 2.98
Co 0.2500 0.7500 0.5000  4 B 1.98
Co 0.7500 0.2500 0.5000  4 B 1.98
B 0.3423 0.3423 0.0000  4 Co 1.98
B 0.6577 0.6577 0.0000  4 Co 1.98

# 2
Cu3Ge | meta-GGA r2SCAN | relaxed

As for the space group: Pmmn (59). Its total magnetic moment is 0.000 μB/f.u. The calculation puts the volume at 98.7 Å³ per cell. The formation energy is 13 meV/atom.

Lattice parameters (Å, degrees): 4.1708 5.2110 4.5412 90.00 90.00 90.00
Closest atoms and distances in Å follow each position.
Element x y z (fractional)
Cu 0.2500 0.0017 0.1629  8 Cu 2.56-2.62, 4 Ge 2.56-2.67
Cu 0.2500 0.2500 0.6633  8 Cu 2.59-2.62, 4 Ge 2.59-2.61
Cu 0.2500 0.4983 0.1629  8 Cu 2.56-2.62, 4 Ge 2.56-2.67
Cu 0.7500 0.5017 0.8371  8 Cu 2.56-2.62, 4 Ge 2.56-2.67
Cu 0.7500 0.7500 0.3367  8 Cu 2.59-2.62, 4 Ge 2.59-2.61
Cu 0.7500 0.9983 0.8371  8 Cu 2.56-2.62, 4 Ge 2.56-2.67
Ge 0.2500 0.7500 0.6751  12 Cu 2.56-2.67
Ge 0.7500 0.2500 0.3249  12 Cu 2.56-2.67

# 3
VCu3S4 | meta-GGA r2SCAN | relaxed

As for the space group: P-43m (215). Its total magnetic moment is 0.000 μB/f.u. The calculation puts the volume at 154.8 Å³ per cell. The formation energy is -704 meV/atom.

Lattice parameters (Å, degrees): 5.3699 5.3699 5.3699 90.00 90.00 90.00
Closest atoms and distances in Å follow each position.
Element x y z (fractional)
V 0.0000 0.0000 0.0000  4 S 2.21
Cu 0.0000 0.0000 0.5000  4 S 2.29
Cu 0.0000 0.5000 0.0000  4 S 2.29
Cu 0.5000 0.0000 0.0000  4 S 2.29
S 0.2371 0.2371 0.2371  1 V 2.21, 3 Cu 2.29
S 0.2371 0.7629 0.7629  1 V 2.21, 3 Cu 2.29
S 0.7629 0.2371 0.7629  1 V 2.21, 3 Cu 2.29
S 0.7629 0.7629 0.2371  1 V 2.21, 3 Cu 2.29

Computed VASP energy (eV/atom) in order:
-17.40, -11.59, -10.55